1.
The following is a PBE calculation of an optimized crystal structure of DyTiO3, from Materials Project.

Summary:
calculated total energy: -8.6916 eV per atom

Unit cell a=5.336 b=5.717 c=7.693 alpha=90.00 beta=90.00 gamma=90.00
Fractional coordinates of all 20 atoms:
Dy1 0.478 0.427 0.750
Dy2 0.978 0.073 0.250
Dy3 0.522 0.573 0.250
Dy4 0.022 0.927 0.750
Ti1 0.500 0.000 0.500
Ti2 0.000 0.500 0.500
Ti3 0.000 0.500 0.000
Ti4 0.500 0.000 0.000
O1 0.189 0.197 0.942
O2 0.689 0.303 0.058
O3 0.122 0.455 0.250
O4 0.189 0.197 0.558
O5 0.311 0.697 0.558
O6 0.811 0.803 0.442
O7 0.622 0.045 0.750
O8 0.689 0.303 0.442
O9 0.378 0.955 0.250
O10 0.311 0.697 0.942
O11 0.811 0.803 0.058
O12 0.878 0.545 0.750

2.
The following is a PBE calculation of an optimized crystal structure of Dy2TiO5, from Materials Project.

Summary:
polymorph energy (0 for the lowest one): 0 meV per atom
calculated total energy: -8.6896 eV per atom

Unit cell a=3.721 b=10.449 c=11.301 alpha=90.00 beta=90.00 gamma=90.00
Fractional coordinates of all 32 atoms:
Ti1 0.750 0.824 0.379
Ti2 0.250 0.676 0.879
Ti3 0.250 0.176 0.621
Ti4 0.750 0.324 0.121
O1 0.750 0.274 0.958
O2 0.750 0.991 0.343
O3 0.250 0.726 0.042
O4 0.750 0.774 0.542
O5 0.250 0.759 0.728
O6 0.750 0.491 0.157
O7 0.250 0.226 0.458
O8 0.250 0.994 0.105
O9 0.750 0.737 0.882
O10 0.250 0.259 0.772
O11 0.250 0.509 0.843
O12 0.250 0.494 0.395
O13 0.250 0.763 0.382
O14 0.750 0.241 0.272
O15 0.750 0.741 0.228
O16 0.750 0.006 0.895
O17 0.250 0.009 0.657
O18 0.750 0.237 0.618
O19 0.250 0.263 0.118
O20 0.750 0.506 0.605
Dy1 0.750 0.864 0.055
Dy2 0.250 0.136 0.945
Dy3 0.250 0.614 0.223
Dy4 0.250 0.636 0.555
Dy5 0.750 0.386 0.777
Dy6 0.750 0.364 0.445
Dy7 0.750 0.886 0.723
Dy8 0.250 0.114 0.277

3.
The following is a PBE calculation of an optimized crystal structure of Dy10Ti6O27, from Materials Project.

Summary:
polymorph energy (0 for the lowest one): 0 meV per atom
calculated total energy: -8.6158 eV per atom

Unit cell a=7.427 b=7.427 c=12.553 alpha=72.04 beta=72.04 gamma=58.68
Fractional coordinates of all 43 atoms:
Dy1 0.772 0.279 0.731
Dy2 0.746 0.746 0.234
Dy3 0.516 0.516 0.503
Dy4 0.258 0.750 0.253
Dy5 0.279 0.772 0.731
Dy6 0.982 0.982 0.991
Dy7 0.750 0.258 0.253
Dy8 0.250 0.250 0.768
Dy9 0.520 0.520 0.996
Dy10 0.258 0.258 0.275
O1 0.143 0.680 0.477
O2 0.680 0.143 0.477
O3 0.059 0.059 0.342
O4 0.880 0.283 0.538
O5 0.466 0.974 0.660
O6 0.436 0.436 0.187
O7 0.268 0.268 0.457
O8 0.198 0.627 0.943
O9 0.432 0.432 0.690
O10 0.789 0.789 0.041
O11 0.277 0.834 0.065
O12 0.974 0.466 0.660
O13 0.920 0.556 0.863
O14 0.027 0.608 0.317
O15 0.697 0.697 0.499
O16 0.237 0.237 0.952
O17 0.570 0.570 0.315
O18 0.556 0.920 0.863
O19 0.834 0.277 0.065
O20 0.423 0.999 0.164
O21 0.906 0.906 0.674
O22 0.587 0.587 0.796
O23 0.999 0.423 0.164
O24 0.608 0.027 0.317
O25 0.283 0.880 0.538
O26 0.064 0.064 0.811
O27 0.627 0.198 0.943
Ti1 0.021 0.495 0.004
Ti2 0.002 0.002 0.506
Ti3 0.748 0.748 0.757
Ti4 0.008 0.520 0.494
Ti5 0.495 0.021 0.004
Ti6 0.520 0.008 0.494

4.
The following is a PBE calculation of an optimized crystal structure of Dy29Y3O48, from Materials Project.

Summary:
calculated total energy: -8.4749 eV per atom

Unit cell a=9.244 b=9.245 c=15.094 alpha=90.01 beta=90.00 gamma=109.47
Fractional coordinates of all 80 atoms:
Dy1 0.109 0.891 0.641
Dy2 0.766 0.734 0.016
Dy3 0.250 0.250 0.750
Dy4 0.658 0.408 0.375
Dy5 0.391 0.609 0.859
Dy6 0.158 0.908 0.375
Dy7 0.734 0.766 0.484
Dy8 0.000 0.500 0.500
Dy9 0.658 0.408 0.875
Dy10 0.158 0.908 0.875
Dy11 0.484 0.017 0.234
Dy12 0.750 0.750 0.750
Dy13 0.500 0.000 0.000
Dy14 0.234 0.266 0.984
Dy15 0.609 0.391 0.141
Dy16 0.842 0.092 0.625
Dy17 0.516 0.984 0.766
Dy18 0.342 0.592 0.625
Dy19 0.750 0.750 0.250
Dy20 0.984 0.517 0.733
Dy21 0.842 0.092 0.125
Dy22 0.141 0.859 0.109
Dy23 0.016 0.484 0.266
Dy24 0.891 0.109 0.359
Dy25 0.641 0.359 0.609
Dy26 0.266 0.233 0.516
Dy27 0.250 0.250 0.250
Dy28 0.342 0.592 0.125
Dy29 0.500 0.000 0.500
O1 0.766 0.537 0.506
O2 0.099 0.141 0.630
O3 0.108 0.651 0.380
O4 0.787 0.516 0.244
O5 0.375 0.843 0.886
O6 0.010 0.750 0.979
O7 0.093 0.604 0.136
O8 0.599 0.641 0.130
O9 0.891 0.349 0.620
O10 0.999 0.760 0.771
O11 0.990 0.250 0.021
O12 0.233 0.463 0.495
O13 0.608 0.151 0.880
O14 0.593 0.104 0.635
O15 0.510 0.249 0.479
O16 0.213 0.484 0.756
O17 0.500 0.740 0.729
O18 0.407 0.897 0.365
O19 0.594 0.625 0.364
O20 0.223 0.995 0.234
O21 0.723 0.495 0.734
O22 0.391 0.849 0.120
O23 0.875 0.343 0.386
O24 0.755 0.027 0.484
O25 0.733 0.962 0.995
O26 0.907 0.875 0.136
O27 0.713 0.984 0.256
O28 0.256 0.527 0.984
O29 0.907 0.396 0.864
O30 0.407 0.375 0.636
O31 0.854 0.843 0.615
O32 0.646 0.657 0.885
O33 0.777 0.005 0.766
O34 0.094 0.125 0.864
O35 0.277 0.505 0.266
O36 0.901 0.859 0.370
O37 0.266 0.037 0.006
O38 0.499 0.260 0.271
O39 0.744 0.473 0.016
O40 0.625 0.157 0.114
O41 0.401 0.359 0.870
O42 0.125 0.657 0.614
O43 0.146 0.157 0.385
O44 0.490 0.751 0.521
O45 0.245 0.973 0.516
O46 0.000 0.240 0.229
O47 0.354 0.343 0.115
O48 0.287 0.016 0.744
Y1 0.859 0.141 0.891
Y2 0.359 0.641 0.391
Y3 0.000 0.500 0.000